{"formula": "SrLaFeRuO6", "functional": "PBE with a Hubbard U", "state": "optimized geometry", "lattice_angstrom": [[5.639, 0.000, 0.000], [0.000, 5.635, 0.000], [0.000, 5.618, 7.927]], "species": ["Sr", "Sr", "La", "La", "Fe", "Fe", "Ru", "Ru", "O", "O", "O", "O", "O", "O", "O", "O", "O", "O", "O", "O"], "frac_coords": [[0.276, 0.756, 0.249], [0.724, 0.756, 0.749], [0.785, 0.240, 0.250], [0.215, 0.240, 0.750], [0.253, 0.500, 0.000], [0.747, 0.500, 0.500], [0.251, 0.000, 0.500], [0.749, 0.000, 0.000], [0.741, 0.668, 0.250], [0.468, 0.238, 0.542], [0.469, 0.825, 0.958], [0.980, 0.189, 0.539], [0.978, 0.768, 0.962], [0.235, 0.316, 0.251], [0.259, 0.668, 0.750], [0.532, 0.238, 0.042], [0.531, 0.825, 0.458], [0.020, 0.189, 0.039], [0.022, 0.768, 0.462], [0.765, 0.316, 0.751]], "space_group": "No. 7", "volume_a3_per_atom": 12.59, "formation_enthalpy_0k_mev_per_atom": -2514}